First-principles (PBE) data for a geometry-optimized Ti3Nb structure, as listed in the Materials Project database.

Unit cell a=3.9551 b=3.9551 c=8.9830 alpha=90.00 beta=90.00 gamma=90.00
Space group I4/mmm (No. 139)
Asymmetric unit:
Ti 0.0000 0.0000 0.0000
Ti 0.0000 0.5000 0.2500
Nb 0.0000 0.0000 0.5000

Calculated values
energy = -8.3650 eV per atom
calculated density = 5.59 g/cm3



First-principles (PBE) data for a geometry-optimized La2Fe14C structure, as listed in the Materials Project database.

Unit cell a=8.7928 b=8.7928 c=12.0219 alpha=90.00 beta=90.00 gamma=90.00
Space group P4_2/mnm (No. 136)
Asymmetric unit:
La 0.1420 0.1420 0.0000
La 0.2393 0.2393 0.5000
Fe 0.0000 0.0000 0.3944
Fe 0.0000 0.5000 0.0000
Fe 0.0363 0.6403 0.1781
Fe 0.0657 0.7247 0.3798
Fe 0.0983 0.9017 0.2122
Fe 0.1828 0.1828 0.2549
C 0.1247 0.8753 0.5000

Calculated values
energy = -8.0893 eV per atom
calculated density = 7.66 g/cm3